(1)
Here is a relaxed structure of K2TiCrP3O12 from the Materials Project database. Energies are from PBE with a Hubbard U.

a b c (Å): 9.948 9.948 9.948
angles (deg): 90.00 90.00 90.00
Sites, in units of the cell vectors:
K 0.317 0.183 0.817
K 0.183 0.817 0.317
K 0.683 0.683 0.683
K 0.817 0.317 0.183
K 0.544 0.956 0.044
K 0.956 0.044 0.544
K 0.456 0.456 0.456
K 0.044 0.544 0.956
Ti 0.164 0.164 0.164
Ti 0.836 0.664 0.336
Ti 0.664 0.336 0.836
Ti 0.336 0.836 0.664
Cr 0.395 0.605 0.105
Cr 0.895 0.895 0.895
Cr 0.105 0.395 0.605
Cr 0.605 0.105 0.395
P 0.207 0.875 0.978
P 0.022 0.707 0.625
P 0.375 0.522 0.793
P 0.707 0.625 0.022
P 0.522 0.793 0.375
P 0.875 0.978 0.207
P 0.793 0.375 0.522
P 0.978 0.207 0.875
P 0.625 0.022 0.707
P 0.293 0.125 0.478
P 0.478 0.293 0.125
P 0.125 0.478 0.293
O 0.228 0.012 0.051
O 0.949 0.728 0.488
O 0.512 0.449 0.772
O 0.728 0.488 0.949
O 0.449 0.772 0.512
O 0.012 0.051 0.228
O 0.772 0.512 0.449
O 0.051 0.228 0.012
O 0.488 0.949 0.728
O 0.272 0.988 0.551
O 0.551 0.272 0.988
O 0.988 0.551 0.272
O 0.249 0.898 0.828
O 0.172 0.749 0.602
O 0.398 0.672 0.751
O 0.749 0.602 0.172
O 0.672 0.751 0.398
O 0.898 0.828 0.249
O 0.751 0.398 0.672
O 0.828 0.249 0.898
O 0.602 0.172 0.749
O 0.251 0.102 0.328
O 0.328 0.251 0.102
O 0.102 0.328 0.251
O 0.299 0.775 0.048
O 0.952 0.799 0.725
O 0.275 0.452 0.701
O 0.799 0.725 0.952
O 0.452 0.701 0.275
O 0.775 0.048 0.299
O 0.701 0.275 0.452
O 0.048 0.299 0.775
O 0.725 0.952 0.799
O 0.201 0.225 0.548
O 0.548 0.201 0.225
O 0.225 0.548 0.201
O 0.060 0.827 0.987
O 0.013 0.560 0.673
O 0.327 0.513 0.940
O 0.560 0.673 0.013
O 0.513 0.940 0.327
O 0.827 0.987 0.060
O 0.940 0.327 0.513
O 0.987 0.060 0.827
O 0.673 0.013 0.560
O 0.440 0.173 0.487
O 0.487 0.440 0.173
O 0.173 0.487 0.440

V in Å³ per cell: 984.5
Uncorrected energy in eV per cell: -556.935
E (MP2020) in eV for the cell shown: -597.9
Energy of formation in eV/atom: -2.847
Energy above the most stable polymorph in this dataset in eV per atom: 0.000

***

(2)
Here is a relaxed structure of K2TiCrP3O12 from the Materials Project database. Energies are from PBE with a Hubbard U.

a b c (Å): 9.941 9.943 19.887
angles (deg): 90.01 90.03 90.06
Sites, in units of the cell vectors:
K 0.958 0.456 0.479
K 0.958 0.457 0.978
K 0.821 0.181 0.159
K 0.817 0.183 0.658
K 0.680 0.818 0.410
K 0.684 0.817 0.909
K 0.542 0.543 0.229
K 0.543 0.544 0.728
K 0.456 0.043 0.021
K 0.456 0.043 0.522
K 0.316 0.318 0.342
K 0.316 0.317 0.842
K 0.180 0.681 0.091
K 0.184 0.683 0.591
K 0.043 0.959 0.272
K 0.044 0.956 0.772
Ti 0.893 0.608 0.305
Ti 0.835 0.835 0.582
Ti 0.664 0.163 0.333
Ti 0.664 0.163 0.831
Ti 0.608 0.391 0.054
Ti 0.388 0.893 0.196
Ti 0.333 0.664 0.918
Ti 0.164 0.337 0.667
Cr 0.896 0.606 0.803
Cr 0.839 0.837 0.081
Cr 0.605 0.395 0.553
Cr 0.395 0.894 0.697
Cr 0.338 0.663 0.419
Cr 0.162 0.337 0.168
Cr 0.106 0.106 0.448
Cr 0.106 0.105 0.947
P 0.979 0.291 0.312
P 0.978 0.293 0.812
P 0.878 0.525 0.146
P 0.875 0.522 0.647
P 0.793 0.125 0.489
P 0.795 0.122 0.989
P 0.707 0.877 0.237
P 0.707 0.874 0.739
P 0.622 0.478 0.397
P 0.624 0.478 0.896
P 0.525 0.708 0.061
P 0.521 0.707 0.562
P 0.475 0.207 0.189
P 0.477 0.207 0.687
P 0.376 0.975 0.355
P 0.375 0.978 0.853
P 0.291 0.376 0.012
P 0.293 0.376 0.510
P 0.208 0.621 0.263
P 0.207 0.625 0.761
P 0.125 0.022 0.603
P 0.122 0.025 0.103
P 0.026 0.794 0.438
P 0.021 0.793 0.938
O 0.992 0.946 0.117
O 0.988 0.948 0.614
O 0.983 0.442 0.334
O 0.987 0.440 0.836
O 0.952 0.702 0.385
O 0.953 0.702 0.887
O 0.949 0.768 0.005
O 0.946 0.771 0.505
O 0.940 0.173 0.493
O 0.940 0.174 0.994
O 0.900 0.671 0.126
O 0.898 0.672 0.626
O 0.830 0.515 0.221
O 0.827 0.513 0.720
O 0.828 0.251 0.302
O 0.828 0.251 0.801
O 0.797 0.771 0.274
O 0.799 0.775 0.774
O 0.769 0.453 0.102
O 0.775 0.452 0.601
O 0.767 0.991 0.026
O 0.771 0.988 0.526
O 0.751 0.103 0.414
O 0.750 0.104 0.914
O 0.748 0.901 0.165
O 0.749 0.898 0.664
O 0.729 0.010 0.277
O 0.728 0.012 0.776
O 0.730 0.546 0.351
O 0.726 0.548 0.851
O 0.702 0.230 0.023
O 0.701 0.226 0.524
O 0.671 0.748 0.049
O 0.672 0.749 0.552
O 0.674 0.487 0.470
O 0.669 0.484 0.971
O 0.604 0.329 0.375
O 0.602 0.328 0.876
O 0.558 0.830 0.242
O 0.560 0.828 0.744
O 0.555 0.229 0.255
O 0.552 0.228 0.756
O 0.548 0.297 0.135
O 0.548 0.299 0.637
O 0.515 0.558 0.085
O 0.514 0.560 0.586
O 0.511 0.054 0.363
O 0.512 0.052 0.864
O 0.489 0.552 0.886
O 0.491 0.552 0.383
O 0.485 0.059 0.165
O 0.487 0.060 0.664
O 0.453 0.797 0.115
O 0.453 0.798 0.614
O 0.450 0.732 0.495
O 0.446 0.729 0.995
O 0.442 0.331 0.008
O 0.440 0.327 0.507
O 0.398 0.828 0.875
O 0.402 0.829 0.373
O 0.332 0.984 0.279
O 0.328 0.987 0.780
O 0.330 0.248 0.201
O 0.329 0.249 0.699
O 0.297 0.731 0.227
O 0.299 0.726 0.726
O 0.275 0.048 0.899
O 0.274 0.049 0.398
O 0.268 0.510 0.475
O 0.273 0.511 0.973
O 0.253 0.402 0.085
O 0.251 0.396 0.586
O 0.247 0.600 0.335
O 0.249 0.602 0.836
O 0.232 0.492 0.223
O 0.229 0.488 0.724
O 0.231 0.953 0.149
O 0.226 0.952 0.649
O 0.202 0.273 0.476
O 0.203 0.274 0.976
O 0.170 0.752 0.451
O 0.172 0.751 0.948
O 0.174 0.012 0.030
O 0.172 0.013 0.530
O 0.100 0.170 0.124
O 0.102 0.172 0.625
O 0.058 0.670 0.258
O 0.060 0.673 0.756
O 0.051 0.269 0.245
O 0.051 0.272 0.744
O 0.047 0.203 0.364
O 0.048 0.201 0.863
O 0.011 0.940 0.413
O 0.013 0.940 0.914
O 0.008 0.446 0.134
O 0.012 0.448 0.636

V in Å³ per cell: 1965.6
Uncorrected energy in eV per cell: -1111.993
E (MP2020) in eV for the cell shown: -1193.9
Energy of formation in eV/atom: -2.835
Energy above the most stable polymorph in this dataset in eV per atom: 0.012

***

(3)
Here is a relaxed structure of KCrS2O8 from the Materials Project database. Energies are from PBE with a Hubbard U.

a b c (Å): 4.859 17.136 8.416
angles (deg): 75.78 90.01 98.15
Sites, in units of the cell vectors:
K 0.500 0.000 0.500
K 0.000 0.000 0.000
K 0.750 0.500 0.250
K 0.250 0.500 0.750
Cr 0.875 0.750 0.125
Cr 0.625 0.250 0.375
Cr 0.375 0.750 0.625
Cr 0.125 0.250 0.875
S 0.177 0.355 0.156
S 0.677 0.355 0.656
S 0.823 0.645 0.844
S 0.323 0.645 0.344
S 0.427 0.855 0.906
S 0.927 0.855 0.406
S 0.573 0.145 0.094
S 0.073 0.145 0.594
O 0.222 0.444 0.112
O 0.722 0.444 0.612
O 0.778 0.556 0.888
O 0.278 0.556 0.388
O 0.472 0.944 0.862
O 0.972 0.944 0.362
O 0.528 0.056 0.138
O 0.028 0.056 0.638
O 0.014 0.676 0.695
O 0.514 0.676 0.195
O 0.951 0.676 0.984
O 0.451 0.676 0.484
O 0.338 0.324 0.305
O 0.838 0.324 0.805
O 0.549 0.676 0.808
O 0.049 0.676 0.308
O 0.275 0.324 0.016
O 0.775 0.324 0.516
O 0.873 0.324 0.192
O 0.373 0.324 0.692
O 0.701 0.824 0.942
O 0.201 0.824 0.442
O 0.236 0.824 0.055
O 0.736 0.824 0.555
O 0.877 0.176 0.058
O 0.377 0.176 0.558
O 0.299 0.824 0.766
O 0.799 0.824 0.266
O 0.412 0.176 0.945
O 0.912 0.176 0.445
O 0.475 0.176 0.234
O 0.975 0.176 0.734

V in Å³ per cell: 672.0
Uncorrected energy in eV per cell: -306.584
E (MP2020) in eV for the cell shown: -336.6
Energy of formation in eV/atom: -2.127
Energy above the most stable polymorph in this dataset in eV per atom: 0.000

***

(4)
Here is a relaxed structure of KCrS2O20 from the Materials Project database. Energies are from PBE with a Hubbard U.

a b c (Å): 11.477 11.477 11.477
angles (deg): 90.00 90.00 90.00
Sites, in units of the cell vectors:
K 0.000 0.000 0.000
K 0.500 0.000 0.500
K 0.000 0.500 0.500
K 0.500 0.500 0.000
Cr 0.500 0.500 0.500
Cr 0.000 0.500 0.000
Cr 0.500 0.000 0.000
Cr 0.000 0.000 0.500
S 0.196 0.196 0.196
S 0.804 0.804 0.804
S 0.304 0.804 0.696
S 0.804 0.696 0.304
S 0.696 0.196 0.304
S 0.196 0.304 0.696
S 0.696 0.304 0.804
S 0.304 0.696 0.196
O 0.987 0.985 0.316
O 0.013 0.015 0.684
O 0.513 0.015 0.816
O 0.013 0.485 0.184
O 0.316 0.987 0.985
O 0.487 0.985 0.184
O 0.987 0.515 0.816
O 0.684 0.013 0.015
O 0.487 0.515 0.684
O 0.816 0.513 0.015
O 0.513 0.485 0.316
O 0.184 0.487 0.985
O 0.184 0.013 0.485
O 0.816 0.987 0.515
O 0.684 0.487 0.515
O 0.316 0.513 0.485
O 0.985 0.316 0.987
O 0.015 0.684 0.013
O 0.485 0.184 0.013
O 0.515 0.816 0.987
O 0.515 0.684 0.487
O 0.485 0.316 0.513
O 0.015 0.816 0.513
O 0.985 0.184 0.487
O 0.247 0.476 0.410
O 0.753 0.524 0.590
O 0.253 0.524 0.910
O 0.753 0.976 0.090
O 0.410 0.247 0.476
O 0.747 0.476 0.090
O 0.247 0.024 0.910
O 0.590 0.753 0.524
O 0.747 0.024 0.590
O 0.910 0.253 0.524
O 0.253 0.976 0.410
O 0.090 0.747 0.476
O 0.090 0.753 0.976
O 0.910 0.247 0.024
O 0.590 0.747 0.024
O 0.410 0.253 0.976
O 0.476 0.410 0.247
O 0.524 0.590 0.753
O 0.976 0.090 0.753
O 0.024 0.910 0.247
O 0.024 0.590 0.747
O 0.976 0.410 0.253
O 0.524 0.910 0.253
O 0.476 0.090 0.747
O 0.071 0.194 0.234
O 0.929 0.806 0.766
O 0.429 0.806 0.734
O 0.929 0.694 0.266
O 0.234 0.071 0.194
O 0.571 0.194 0.266
O 0.071 0.306 0.734
O 0.766 0.929 0.806
O 0.571 0.306 0.766
O 0.734 0.429 0.806
O 0.429 0.694 0.234
O 0.266 0.571 0.194
O 0.266 0.929 0.694
O 0.734 0.071 0.306
O 0.766 0.571 0.306
O 0.234 0.429 0.694
O 0.194 0.234 0.071
O 0.806 0.766 0.929
O 0.694 0.266 0.929
O 0.306 0.734 0.071
O 0.306 0.766 0.571
O 0.694 0.234 0.429
O 0.806 0.734 0.429
O 0.194 0.266 0.571
O 0.269 0.269 0.269
O 0.731 0.731 0.731
O 0.231 0.731 0.769
O 0.731 0.769 0.231
O 0.769 0.269 0.231
O 0.269 0.231 0.769
O 0.769 0.231 0.731
O 0.231 0.769 0.269

V in Å³ per cell: 1511.9
Uncorrected energy in eV per cell: -512.448
E (MP2020) in eV for the cell shown: -533.3
Energy of formation in eV/atom: -0.639

***

- Which formula does entry 1 have?
  K2TiCrP3O12

***

- The highest uncorrected energy belongs to which entry?
  KCrS2O8